A relaxed Li3FePCO7 crystal. Source: the Materials Project, functional PBE with a Hubbard U.

Values from the calculation:
V, A^3/atom: 10.7
Polymorph energy (0 for the lowest one), kJ/mol of formula units: 3.4
M_tot, μB per atom: 0.3078
Energy of formation from the pure elements, meV per atom: -2342

Unit cell a=5.024 b=6.448 c=8.650 alpha=90.04 beta=97.48 gamma=90.04
Space group P1 (No. 1)
Unique sites:
Li (0.000, 0.000, 0.000)
Li (0.005, 0.476, 0.015)
Li (0.465, 0.975, 0.579)
Li (0.470, 0.499, 0.594)
Li (0.564, 0.380, 0.223)
Li (0.906, 0.880, 0.370)
Fe (0.518, 0.740, 0.962)
Fe (0.951, 0.240, 0.631)
P (0.477, 0.233, 0.893)
P (0.993, 0.734, 0.700)
C (0.088, 0.279, 0.339)
C (0.381, 0.779, 0.254)
O (0.162, 0.230, 0.874)
O (0.167, 0.332, 0.210)
O (0.217, 0.785, 0.123)
O (0.252, 0.287, 0.470)
O (0.302, 0.833, 0.383)
O (0.308, 0.730, 0.719)
O (0.568, 0.236, 0.730)
O (0.582, 0.428, 0.991)
O (0.599, 0.046, 0.989)
O (0.625, 0.714, 0.245)
O (0.844, 0.214, 0.348)
O (0.870, 0.546, 0.604)
O (0.889, 0.928, 0.602)
O (0.902, 0.737, 0.864)



A relaxed MgMn12O14F10 crystal. Source: the Materials Project, functional PBE with a Hubbard U.

Values from the calculation:
V, A^3/atom: 11.7
Polymorph energy (0 for the lowest one), kJ/mol of formula units: 119.9
M_tot, μB per atom: 1.2933
Energy of formation from the pure elements, meV per atom: -2240

Unit cell a=4.831 b=5.589 c=16.283 alpha=98.20 beta=92.54 gamma=90.54
Space group P1 (No. 1)
Unique sites:
Mg (0.000, 0.000, 0.000)
Mn (0.001, 0.024, 0.518)
Mn (0.026, 0.168, 0.821)
Mn (0.038, 0.792, 0.665)
Mn (0.446, 0.411, 0.182)
Mn (0.469, 0.679, 0.821)
Mn (0.479, 0.271, 0.660)
Mn (0.486, 0.546, 0.506)
Mn (0.488, 0.160, 0.347)
Mn (0.494, 0.309, 0.963)
Mn (0.940, 0.556, 0.076)
Mn (0.960, 0.931, 0.208)
Mn (0.978, 0.659, 0.360)
O (0.119, 0.855, 0.100)
O (0.230, 0.804, 0.568)
O (0.240, 0.344, 0.051)
O (0.259, 0.041, 0.730)
O (0.267, 0.557, 0.709)
O (0.272, 0.153, 0.242)
O (0.281, 0.283, 0.557)
O (0.284, 0.412, 0.875)
O (0.288, 0.456, 0.400)
O (0.687, 0.685, 0.153)
O (0.774, 0.919, 0.310)
O (0.781, 0.743, 0.461)
O (0.803, 0.167, 0.912)
O (0.804, 0.039, 0.616)
F (0.201, 0.654, 0.256)
F (0.233, 0.962, 0.419)
F (0.283, 0.935, 0.914)
F (0.724, 0.359, 0.762)
F (0.731, 0.231, 0.071)
F (0.742, 0.388, 0.281)
F (0.745, 0.551, 0.610)
F (0.748, 0.235, 0.456)
F (0.755, 0.682, 0.968)
F (0.820, 0.844, 0.772)